[1]
This record from the Materials Project describes crystalline SrSn7N10 at its relaxed geometry. The functional is PBE.

Lattice parameters (Å, degrees): 7.8452 8.0499 11.4507 90.00 105.74 90.00
Element x y z (fractional)
Sr 0.9690 0.9720 0.6789
Sr 0.9690 0.0280 0.1789
Sn 0.5423 0.9698 0.8221
Sn 0.5423 0.0302 0.3221
Sn 0.3416 0.0242 0.0167
Sn 0.3416 0.9758 0.5167
Sn 0.1142 0.3941 0.0707
Sn 0.1142 0.6059 0.5707
Sn 0.6655 0.3513 0.9966
Sn 0.6655 0.6487 0.4966
Sn 0.8444 0.6198 0.8122
Sn 0.8444 0.3802 0.3122
Sn 0.3007 0.6236 0.8814
Sn 0.3007 0.3764 0.3814
Sn 0.4876 0.3644 0.6871
Sn 0.4876 0.6356 0.1871
N 0.7648 0.8607 0.8059
N 0.7648 0.1393 0.3059
N 0.5771 0.1107 0.9820
N 0.5771 0.8893 0.4820
N 0.3028 0.8782 0.8562
N 0.3028 0.1218 0.3562
N 0.1256 0.1491 0.0291
N 0.1256 0.8509 0.5291
N 0.2903 0.5062 0.7223
N 0.2903 0.4938 0.2223
N 0.4226 0.1186 0.6736
N 0.4226 0.8814 0.1736
N 0.8933 0.3599 0.1385
N 0.8933 0.6401 0.6385
N 0.0808 0.5853 0.9445
N 0.0808 0.4147 0.4445
N 0.7127 0.4009 0.8286
N 0.7127 0.5991 0.3286
N 0.5070 0.5438 0.0230
N 0.5070 0.4562 0.5230

The symmetry is No. 7. The calculation puts the volume at 19.33 Å³ per atom. For the formation energy, the calculation gives 0.91 kcal/mol of atoms.

[2]
This record from the Materials Project describes crystalline LiCu2P at its relaxed geometry. The functional is PBE.

Lattice parameters (Å, degrees): 4.0252 4.0252 7.4820 90.00 90.00 120.00
Element x y z (fractional)
Li 0.3333 0.6667 0.9081
Li 0.6667 0.3333 0.0919
Cu 0.6667 0.3333 0.4351
Cu 0.3333 0.6667 0.5649
Cu 0.0000 0.0000 0.7264
Cu 0.0000 0.0000 0.2736
P 0.3333 0.6667 0.2513
P 0.6667 0.3333 0.7487

The symmetry is No. 164. The calculation puts the volume at 13.12 Å³ per atom. For the formation energy, the calculation gives -6.46 kcal/mol of atoms.

[3]
This record from the Materials Project describes crystalline Mn3V17Si12 at its relaxed geometry. The functional is PBE.

Lattice parameters (Å, degrees): 6.9822 6.9822 13.1926 90.00 90.00 140.51
Element x y z (fractional)
Mn 0.5030 0.5030 0.0000
Mn 0.4991 0.4991 0.5000
Mn 0.9983 0.9983 0.0000
V 0.0701 0.4224 0.4012
V 0.5741 0.9292 0.9035
V 0.4224 0.0701 0.5988
V 0.9292 0.5741 0.0965
V 0.8515 0.6538 0.6776
V 0.3471 0.1523 0.1762
V 0.6538 0.8515 0.3224
V 0.1523 0.3471 0.8238
V 0.6538 0.8515 0.6776
V 0.1523 0.3471 0.1762
V 0.8515 0.6538 0.3224
V 0.3471 0.1523 0.8238
V 0.4224 0.0701 0.4012
V 0.9292 0.5741 0.9035
V 0.0701 0.4224 0.5988
V 0.5741 0.9292 0.0965
V 0.9989 0.9989 0.5000
Si 0.2506 0.7495 0.7511
Si 0.7495 0.2506 0.2489
Si 0.7495 0.2506 0.7511
Si 0.2506 0.7495 0.2489
Si 0.2565 0.2565 0.6636
Si 0.7509 0.7509 0.1606
Si 0.2565 0.2565 0.3364
Si 0.7509 0.7509 0.8394
Si 0.5790 0.9043 0.5000
Si 0.0919 0.4094 0.0000
Si 0.9043 0.5790 0.5000
Si 0.4094 0.0919 0.0000

The symmetry is No. 38. The calculation puts the volume at 12.78 Å³ per atom. For the formation energy, the calculation gives -12.41 kcal/mol of atoms.